No. 1
DFT (PBE+U) results for crystalline Ba2MgW2O8 at its relaxed geometry.

Lattice parameters (Å, degrees): 4.0556 5.7679 9.2096 90.68 101.05 91.44
Element x y z (fractional)
Ba 0.1271 0.4925 0.2227
Ba 0.7652 0.9955 0.5853
O 0.4855 0.1928 0.9912
O 0.9431 0.5378 0.8817
O 0.3520 0.8010 0.7523
O 0.0931 0.9709 0.1495
O 0.6548 0.2274 0.3208
O 0.7010 0.7572 0.3460
O 0.3296 0.3047 0.6795
O 0.5168 0.7025 0.0440
W 0.6225 0.9819 0.1847
W 0.4345 0.4852 0.8481
Mg 0.1414 0.9052 0.9276

ΔE_f = -3183.3 kJ/mol of formula units
crystal system = triclinic

---

No. 2
DFT (PBE+U) results for crystalline TlV2I3O13 at its relaxed geometry.

Lattice parameters (Å, degrees): 9.6714 9.6714 9.6714 129.67 114.14 87.28
Element x y z (fractional)
Tl 0.3589 0.1241 0.9830
Tl 0.6411 0.6241 0.7652
O 0.7542 0.7765 0.3320
O 0.5135 0.1189 0.3300
O 0.0259 0.6587 0.3880
O 0.0957 0.0453 0.6410
O 0.2140 0.2457 0.2581
O 0.7655 0.0136 0.2792
O 0.4876 0.7457 0.0317
O 0.7110 0.3165 0.3300
O 0.3699 0.3278 0.6350
O 0.5000 0.8888 0.3888
O 0.4865 0.8165 0.6055
O 0.2293 0.8620 0.3880
O 0.5124 0.5441 0.2581
O 0.2890 0.6189 0.6055
O 0.6301 0.2651 0.9580
O 0.9741 0.3620 0.6328
O 0.2345 0.5136 0.2481
O 0.7860 0.0441 0.0317
O 0.7707 0.1587 0.6328
O 0.8071 0.7651 0.6350
O 0.2458 0.5778 0.0222
O 0.9043 0.5453 0.9496
O 0.0555 0.0778 0.3320
O 0.0000 0.3888 0.3888
O 0.9445 0.2765 0.0222
O 0.1929 0.8278 0.9580
V 0.1450 0.4733 0.3609
V 0.8550 0.2159 0.3283
V 0.3876 0.7159 0.3609
V 0.6124 0.9733 0.3283
I 0.7462 0.1071 0.8718
I 0.9716 0.3428 0.8144
I 0.2647 0.6256 0.8718
I 0.2538 0.1256 0.3609
I 0.0284 0.8428 0.3712
I 0.7353 0.6071 0.3609

ΔE_f = -2548.6 kJ/mol of formula units
crystal system = orthorhombic